(1)
# MgFe6Sb10I6O18 (GGA+U, relaxed)
# **E above lowest polymorph**: 24 meV per atom
# **VASP energy**: -222.31 eV/cell
# **Crystal system**: triclinic
# **Corrected total energy (MP2020 scheme)**: -0.2225 hartree per atom
# **Calculated formation energy**: -5432 kJ/mol of formula units
data_MgFe6Sb10I6O18
_chemical_formula_sum 'Mg1 Fe6 Sb10 I6 O18'
_cell_length_a 8.1128
_cell_length_b 9.4194
_cell_length_c 12.5178
_cell_angle_alpha 75.91
_cell_angle_beta 84.79
_cell_angle_gamma 74.71
_space_group_name_H-M_alt 'P 1'
_space_group_IT_number 1
_space_group_name_Hall 'P 1'
loop_
_atom_site_label
_atom_site_type_symbol
_atom_site_fract_x
_atom_site_fract_y
_atom_site_fract_z
Mg1 Mg 0.0000 0.0000 0.0000
Fe1 Fe 0.0833 0.4825 0.1062
Fe2 Fe 0.1287 0.3767 0.3668
Fe3 Fe 0.4038 0.4225 0.8864
Fe4 Fe 0.4975 0.3506 0.1869
Fe5 Fe 0.7273 0.5037 0.3037
Fe6 Fe 0.8254 0.3803 0.5902
Sb1 Sb 0.2229 0.2038 0.7484
Sb2 Sb 0.3072 0.1149 0.0505
Sb3 Sb 0.3124 0.6848 0.2298
Sb4 Sb 0.3608 0.5558 0.5043
Sb5 Sb 0.5614 0.2082 0.4850
Sb6 Sb 0.6338 0.6560 0.0000
Sb7 Sb 0.8341 0.3118 0.9609
Sb8 Sb 0.9011 0.1678 0.2525
Sb9 Sb 0.9214 0.7049 0.4552
Sb10 Sb 0.9894 0.5426 0.7610
I1 I 0.1908 0.7354 0.9214
I2 I 0.3701 0.0824 0.3092
I3 I 0.6039 0.1395 0.8236
I4 I 0.6136 0.6720 0.6660
I5 I 0.8148 0.8342 0.1707
I6 I 0.9868 0.0904 0.5489
O1 O 0.0520 0.6013 0.5918
O2 O 0.0661 0.1138 0.1077
O3 O 0.1595 0.6672 0.3820
O4 O 0.1749 0.1145 0.9082
O5 O 0.2423 0.4045 0.7797
O6 O 0.2577 0.4885 0.2206
O7 O 0.2855 0.3336 0.0352
O8 O 0.3203 0.3610 0.4690
O9 O 0.4840 0.6125 0.3525
O10 O 0.5505 0.5753 0.1546
O11 O 0.5955 0.4704 0.9481
O12 O 0.6005 0.3761 0.5428
O13 O 0.6540 0.2915 0.3338
O14 O 0.7384 0.2670 0.1289
O15 O 0.8689 0.5466 0.0279
O16 O 0.8931 0.5082 0.4306
O17 O 0.9643 0.3633 0.2532
O18 O 0.9726 0.3436 0.7203



(2)
# MgFe6Sb10I6O18 (GGA+U, relaxed)
# **E above lowest polymorph**: 9 meV per atom
# **VASP energy**: -222.92 eV/cell
# **Crystal system**: triclinic
# **Corrected total energy (MP2020 scheme)**: -0.2230 hartree per atom
# **Calculated formation energy**: -5490 kJ/mol of formula units
data_MgFe6Sb10I6O18
_chemical_formula_sum 'Mg1 Fe6 Sb10 I6 O18'
_cell_length_a 8.0776
_cell_length_b 9.6966
_cell_length_c 12.6255
_cell_angle_alpha 78.77
_cell_angle_beta 86.62
_cell_angle_gamma 72.23
_space_group_name_H-M_alt 'P 1'
_space_group_IT_number 1
_space_group_name_Hall 'P 1'
loop_
_atom_site_label
_atom_site_type_symbol
_atom_site_fract_x
_atom_site_fract_y
_atom_site_fract_z
Mg1 Mg 0.0000 0.0000 0.0000
Fe1 Fe 0.0693 0.4606 0.3225
Fe2 Fe 0.1234 0.3878 0.5699
Fe3 Fe 0.3629 0.4133 0.1029
Fe4 Fe 0.4823 0.3365 0.3925
Fe5 Fe 0.7164 0.5011 0.5058
Fe6 Fe 0.8204 0.4030 0.7952
Sb1 Sb 0.0191 0.5693 0.9419
Sb2 Sb 0.2119 0.1901 0.9536
Sb3 Sb 0.2912 0.6735 0.4390
Sb4 Sb 0.3039 0.1264 0.2538
Sb5 Sb 0.3598 0.5541 0.7092
Sb6 Sb 0.5658 0.2106 0.6856
Sb7 Sb 0.6209 0.6170 0.2074
Sb8 Sb 0.8348 0.2805 0.1886
Sb9 Sb 0.8997 0.7093 0.6492
Sb10 Sb 0.9059 0.1639 0.4588
I1 I 0.0002 0.0770 0.7627
I2 I 0.1869 0.7413 0.1419
I3 I 0.3729 0.0714 0.5190
I4 I 0.6058 0.6943 0.8439
I5 I 0.6608 0.0363 0.0523
I6 I 0.8163 0.7547 0.3771
O1 O 0.0464 0.6328 0.7834
O2 O 0.0556 0.1734 0.3036
O3 O 0.1452 0.6643 0.5846
O4 O 0.2331 0.2443 0.1027
O5 O 0.2406 0.4833 0.4308
O6 O 0.2701 0.4863 0.9562
O7 O 0.3200 0.3248 0.2685
O8 O 0.3248 0.3645 0.6668
O9 O 0.4747 0.6011 0.5570
O10 O 0.5394 0.5464 0.3562
O11 O 0.5884 0.4448 0.1495
O12 O 0.6089 0.3735 0.7454
O13 O 0.6594 0.2797 0.5359
O14 O 0.7289 0.2280 0.3360
O15 O 0.8721 0.4700 0.2228
O16 O 0.8914 0.5052 0.6404
O17 O 0.9517 0.3568 0.4630
O18 O 0.9839 0.3723 0.9196



(3)
# FeI3O9 (GGA+U, relaxed)
# **VASP energy**: -123.71 eV/cell
# **Crystal system**: hexagonal
# **Corrected total energy (MP2020 scheme)**: -0.1987 hartree per atom
# **Calculated formation energy**: -1228 kJ/mol of formula units
data_FeI3O9
_chemical_formula_sum 'Fe2 I6 O18'
_cell_length_a 9.3476
_cell_length_b 9.3476
_cell_length_c 5.4237
_cell_angle_alpha 90.00
_cell_angle_beta 90.00
_cell_angle_gamma 120.00
_space_group_name_H-M_alt 'P 63'
_space_group_IT_number 173
_space_group_name_Hall 'P 6c'
loop_
_atom_site_label
_atom_site_type_symbol
_atom_site_fract_x
_atom_site_fract_y
_atom_site_fract_z
Fe1 Fe 0.3333 0.6667 0.0000
I1 I 0.0223 0.3382 0.3595
O1 O 0.0545 0.2225 0.1220
O2 O 0.1255 0.5478 0.2107
O3 O 0.1903 0.7149 0.7708



(4)
# MgIn2Fe2O6 (GGA+U, relaxed)
# **VASP energy**: -130.03 eV/cell
# **Crystal system**: monoclinic
# **Corrected total energy (MP2020 scheme)**: -0.2460 hartree per atom
# **Calculated formation energy**: -1922 kJ/mol of formula units
data_MgIn2Fe2O6
_chemical_formula_sum 'Mg2 In4 Fe4 O12'
_cell_length_a 5.7768
_cell_length_b 3.3320
_cell_length_c 14.4415
_cell_angle_alpha 90.00
_cell_angle_beta 90.61
_cell_angle_gamma 90.00
_space_group_name_H-M_alt 'C 1 m 1'
_space_group_IT_number 8
_space_group_name_Hall 'C -2y'
loop_
_atom_site_label
_atom_site_type_symbol
_atom_site_fract_x
_atom_site_fract_y
_atom_site_fract_z
Mg1 Mg 0.0000 0.0000 0.0000
In1 In 0.3155 0.0000 0.3796
In2 In 0.3307 0.0000 0.8159
Fe1 Fe 0.1826 0.5000 0.1652
Fe2 Fe 0.4906 0.5000 0.5950
O1 O 0.1449 0.5000 0.2973
O2 O 0.1591 0.5000 0.9230
O3 O 0.3196 0.0000 0.0839
O4 O 0.3283 0.0000 0.6091
O5 O 0.4842 0.5000 0.4498
O6 O 0.4957 0.5000 0.7577



(5)
# InFeO3 (GGA+U, relaxed)
# **VASP energy**: -61.54 eV/cell
# **Crystal system**: hexagonal
# **Corrected total energy (MP2020 scheme)**: -0.2579 hartree per atom
# **Calculated formation energy**: -871 kJ/mol of formula units
data_InFeO3
_chemical_formula_sum 'In2 Fe2 O6'
_cell_length_a 3.3975
_cell_length_b 3.3975
_cell_length_c 12.3604
_cell_angle_alpha 90.00
_cell_angle_beta 90.00
_cell_angle_gamma 120.00
_space_group_name_H-M_alt 'P 63/m m c'
_space_group_IT_number 194
_space_group_name_Hall '-P 6c 2c'
loop_
_atom_site_label
_atom_site_type_symbol
_atom_site_fract_x
_atom_site_fract_y
_atom_site_fract_z
In1 In 0.0000 0.0000 0.0000
Fe1 Fe 0.3333 0.6667 0.2500
O1 O 0.0000 0.0000 0.2500
O2 O 0.3333 0.6667 0.0858



(6)
# InFe17O24 (GGA+U, relaxed)
# **VASP energy**: -555.03 eV/cell
# **Crystal system**: orthorhombic
# **Corrected total energy (MP2020 scheme)**: -0.2908 hartree per atom
# **Calculated formation energy**: -6451 kJ/mol of formula units
data_InFe17O24
_chemical_formula_sum 'In2 Fe34 O48'
_cell_length_a 6.0010
_cell_length_b 18.1402
_cell_length_c 8.6010
_cell_angle_alpha 90.00
_cell_angle_beta 90.00
_cell_angle_gamma 90.00
_space_group_name_H-M_alt 'I m m 2'
_space_group_IT_number 44
_space_group_name_Hall 'I 2 -2'
loop_
_atom_site_label
_atom_site_type_symbol
_atom_site_fract_x
_atom_site_fract_y
_atom_site_fract_z
In1 In 0.0000 0.0000 0.0000
Fe1 Fe 0.0000 0.0845 0.3787
Fe2 Fe 0.0000 0.1648 0.7405
Fe3 Fe 0.0000 0.2518 0.3671
Fe4 Fe 0.0000 0.3344 0.0047
Fe5 Fe 0.0000 0.4175 0.3665
Fe6 Fe 0.0000 0.5000 0.7345
Fe7 Fe 0.2452 0.5000 0.1180
Fe8 Fe 0.2472 0.3318 0.6226
O1 O 0.0000 0.0785 0.6112
O2 O 0.0000 0.0916 0.1424
O3 O 0.0000 0.2507 0.1341
O4 O 0.0000 0.2513 0.6112
O5 O 0.0000 0.4167 0.5966
O6 O 0.0000 0.4191 0.1380
O7 O 0.2145 0.5000 0.3599
O8 O 0.2306 0.3360 0.3690
O9 O 0.2346 0.1675 0.3763
O10 O 0.2376 0.0000 0.3727



(7)
# InFe11O16 (GGA+U, relaxed)
# **VASP energy**: -736.43 eV/cell
# **Crystal system**: orthorhombic
# **Corrected total energy (MP2020 scheme)**: -0.2886 hartree per atom
# **Calculated formation energy**: -4325 kJ/mol of formula units
data_InFe11O16
_chemical_formula_sum 'In4 Fe44 O64'
_cell_length_a 12.2732
_cell_length_b 17.0732
_cell_length_c 6.1092
_cell_angle_alpha 90.00
_cell_angle_beta 90.00
_cell_angle_gamma 90.00
_space_group_name_H-M_alt 'C m c m'
_space_group_IT_number 63
_space_group_name_Hall '-C 2c 2'
loop_
_atom_site_label
_atom_site_type_symbol
_atom_site_fract_x
_atom_site_fract_y
_atom_site_fract_z
In1 In 0.0000 0.1869 0.2500
Fe1 Fe 0.0000 0.0000 0.0000
Fe2 Fe 0.0000 0.3141 0.7500
Fe3 Fe 0.0000 0.5000 0.0000
Fe4 Fe 0.1267 0.1252 0.7500
Fe5 Fe 0.1265 0.3789 0.2500
Fe6 Fe 0.2500 0.0626 0.2500
Fe7 Fe 0.2500 0.2500 0.0000
O1 O 0.0000 0.1151 0.5173
O2 O 0.0000 0.3786 0.0201
O3 O 0.1167 0.0018 0.2500
O4 O 0.1239 0.4958 0.2500
O5 O 0.1276 0.2484 0.7500
O6 O 0.1366 0.2596 0.2500
O7 O 0.2465 0.3724 0.0090



(8)
# Li5Fe2Ir2O10 (GGA+U, relaxed)
# **VASP energy**: -230.25 eV/cell
# **Crystal system**: monoclinic
# **Corrected total energy (MP2020 scheme)**: -0.2447 hartree per atom
# **Calculated formation energy**: -3171 kJ/mol of formula units
data_Li5Fe2Ir2O10
_chemical_formula_sum 'Li10 Fe4 Ir4 O20'
_cell_length_a 5.1506
_cell_length_b 15.2664
_cell_length_c 5.1652
_cell_angle_alpha 90.00
_cell_angle_beta 109.38
_cell_angle_gamma 90.00
_space_group_name_H-M_alt 'C 1 2 1'
_space_group_IT_number 5
_space_group_name_Hall 'C 2y'
loop_
_atom_site_label
_atom_site_type_symbol
_atom_site_fract_x
_atom_site_fract_y
_atom_site_fract_z
Li1 Li 0.0000 0.0000 0.0000
Li2 Li 0.0000 0.1011 0.5000
Li3 Li 0.0000 0.4939 0.5000
Li4 Li 0.0000 0.7008 0.5000
Li5 Li 0.0000 0.8969 0.5000
Fe1 Fe 0.0000 0.1979 0.0000
Fe2 Fe 0.0000 0.8005 0.0000
Ir1 Ir 0.0000 0.3972 0.0000
Ir2 Ir 0.0000 0.5976 0.0000
O1 O 0.2228 0.4967 0.2293
O2 O 0.2355 0.6953 0.2241
O3 O 0.2465 0.2986 0.2220
O4 O 0.2480 0.6033 0.7713
O5 O 0.2504 0.3977 0.7807



(9)
# Li3FeIrO5 (GGA+U, relaxed)
# **VASP energy**: -120.25 eV/cell
# **Crystal system**: triclinic
# **Corrected total energy (MP2020 scheme)**: -0.2419 hartree per atom
# **Calculated formation energy**: -1740 kJ/mol of formula units
data_Li3FeIrO5
_chemical_formula_sum 'Li6 Fe2 Ir2 O10'
_cell_length_a 5.1817
_cell_length_b 5.9869
_cell_length_c 6.6830
_cell_angle_alpha 103.85
_cell_angle_beta 97.44
_cell_angle_gamma 106.94
_space_group_name_H-M_alt 'P -1'
_space_group_IT_number 2
_space_group_name_Hall '-P 1'
loop_
_atom_site_label
_atom_site_type_symbol
_atom_site_fract_x
_atom_site_fract_y
_atom_site_fract_z
Li1 Li 0.0000 0.0000 0.0000
Li2 Li 0.0000 0.5000 0.0000
Li3 Li 0.1920 0.4003 0.3991
Li4 Li 0.3855 0.7987 0.8089
Fe1 Fe 0.1950 0.8879 0.3868
Ir1 Ir 0.4043 0.3091 0.8093
O1 O 0.1013 0.4382 0.6990
O2 O 0.1094 0.9684 0.6949
O3 O 0.3048 0.3519 0.0987
O4 O 0.3055 0.8475 0.1107
O5 O 0.4934 0.2401 0.5157



(10)
# Mg2FeIrO6 (GGA+U, relaxed)
# **VASP energy**: -127.71 eV/cell
# **Crystal system**: monoclinic
# **Corrected total energy (MP2020 scheme)**: -0.2581 hartree per atom
# **Calculated formation energy**: -1933 kJ/mol of formula units
data_Mg2FeIrO6
_chemical_formula_sum 'Mg4 Fe2 Ir2 O12'
_cell_length_a 5.1401
_cell_length_b 5.3212
_cell_length_c 9.1376
_cell_angle_alpha 90.00
_cell_angle_beta 123.92
_cell_angle_gamma 90.00
_space_group_name_H-M_alt 'P 1 21/c 1'
_space_group_IT_number 14
_space_group_name_Hall '-P 2ybc'
loop_
_atom_site_label
_atom_site_type_symbol
_atom_site_fract_x
_atom_site_fract_y
_atom_site_fract_z
Mg1 Mg 0.2369 0.0598 0.2478
Fe1 Fe 0.0000 0.0000 0.5000
Ir1 Ir 0.5000 0.0000 0.0000
O1 O 0.1124 0.1849 0.9301
O2 O 0.2504 0.6885 0.9273
O3 O 0.3887 0.0696 0.7544



(11)
# Zn2FeIrO6 (GGA+U, relaxed)
# **VASP energy**: -115.44 eV/cell
# **Crystal system**: monoclinic
# **Corrected total energy (MP2020 scheme)**: -0.2356 hartree per atom
# **Calculated formation energy**: -1407 kJ/mol of formula units
data_Zn2FeIrO6
_chemical_formula_sum 'Zn4 Fe2 Ir2 O12'
_cell_length_a 5.2221
_cell_length_b 5.2284
_cell_length_c 9.3037
_cell_angle_alpha 90.00
_cell_angle_beta 123.92
_cell_angle_gamma 90.00
_space_group_name_H-M_alt 'P 1 21/c 1'
_space_group_IT_number 14
_space_group_name_Hall '-P 2ybc'
loop_
_atom_site_label
_atom_site_type_symbol
_atom_site_fract_x
_atom_site_fract_y
_atom_site_fract_z
Zn1 Zn 0.2455 0.0325 0.2536
Fe1 Fe 0.5000 0.0000 0.0000
Ir1 Ir 0.0000 0.0000 0.5000
O1 O 0.1257 0.0857 0.7437
O2 O 0.2377 0.6795 0.5691
O3 O 0.3859 0.1741 0.5620



(12)
# KLaSmFeO6 (GGA+U, relaxed)
# **VASP energy**: -268.80 eV/cell
# **Crystal system**: cubic
# **Corrected total energy (MP2020 scheme)**: -0.2704 hartree per atom
# **Calculated formation energy**: -2379 kJ/mol of formula units
data_KLaSmFeO6
_chemical_formula_sum 'K4 La4 Sm4 Fe4 O24'
_cell_length_a 8.2168
_cell_length_b 8.2168
_cell_length_c 8.2168
_cell_angle_alpha 90.00
_cell_angle_beta 90.00
_cell_angle_gamma 90.00
_space_group_name_H-M_alt 'F -4 3 m'
_space_group_IT_number 216
_space_group_name_Hall 'F -4 2 3'
loop_
_atom_site_label
_atom_site_type_symbol
_atom_site_fract_x
_atom_site_fract_y
_atom_site_fract_z
K1 K 0.0000 0.0000 0.0000
La1 La 0.0000 0.0000 0.5000
Sm1 Sm 0.2500 0.2500 0.2500
Fe1 Fe 0.2500 0.2500 0.7500
O1 O 0.0221 0.2500 0.7500



Number 1: volume 895 Å³ per cell. Number 2: volume 924 Å³ per cell. Number 3: volume 410 Å³ per cell. Number 4: volume 278 Å³ per cell. Number 5: volume 124 Å³ per cell. Number 6: volume 936 Å³ per cell. Number 7: volume 1280 Å³ per cell. Number 8: volume 383 Å³ per cell. Number 9: volume 188 Å³ per cell. Number 10: volume 207 Å³ per cell. Number 11: volume 211 Å³ per cell. Number 12: volume 555 Å³ per cell.